[1]
This record from the Materials Project describes Li2Ni3SnO8 after structural relaxation. The functional is PBE+U.

Unit cell a=10.2312 b=5.8049 c=10.5036 alpha=90.00 beta=109.76 gamma=90.00
Space group C2/c (No. 15)
Unique sites:
Li: 0.1867 0.2424 0.3204 x8
Ni: 0.0000 0.0000 0.0000 x4
Ni: 0.0000 0.5000 0.0000 x4
Ni: 0.2500 0.2500 0.0000 x4
Sn: 0.0000 0.2591 0.7500 x4
O: 0.1026 0.2502 0.1036 x8
O: 0.1114 0.2753 0.6192 x8
O: 0.1223 0.4876 0.8984 x8
O: 0.1241 0.0281 0.8905 x8

Calculated values
ΔH_f (0 K) = -1979 kJ/mol of formula units
energy relative to the lowest polymorph listed for this composition = 0.004 eV/atom
total energy = -5.15 eV/atom

=====

[2]
This record from the Materials Project describes LiV5O7F after structural relaxation. The functional is PBE+U.

Unit cell a=10.5015 b=6.1372 c=10.4507 alpha=90.00 beta=109.86 gamma=90.00
Space group Cm (No. 8)
Unique sites:
Li: 0.0000 0.0000 0.0000 x2
Li: 0.0010 0.5000 0.4993 x2
V: 0.1829 0.0000 0.5686 x2
V: 0.1924 0.2488 0.8361 x4
V: 0.1928 0.5000 0.0705 x2
V: 0.1972 0.2521 0.3333 x4
V: 0.3768 0.5000 0.6488 x2
V: 0.3829 0.0000 0.1490 x2
V: 0.4392 0.0000 0.8338 x2
V: 0.4436 0.5000 0.3349 x2
O: 0.0632 0.2700 0.9374 x4
O: 0.0769 0.0000 0.7097 x2
O: 0.0789 0.2374 0.4458 x4
O: 0.0840 0.5000 0.2123 x2
O: 0.2988 0.0000 0.4390 x2
O: 0.3002 0.5000 0.9327 x2
O: 0.3094 0.2286 0.7075 x4
O: 0.3129 0.0000 0.9490 x2
O: 0.3132 0.2601 0.2079 x4
O: 0.3151 0.5000 0.4518 x2
F: 0.0658 0.5000 0.7083 x2
F: 0.0709 0.0000 0.2067 x2

Calculated values
ΔH_f (0 K) = -3383 kJ/mol of formula units
energy relative to the lowest polymorph listed for this composition = 0.005 eV/atom
total energy = -7.51 eV/atom

=====

[3]
This record from the Materials Project describes LiCr6O11 after structural relaxation. The functional is PBE+U.

Unit cell a=5.8211 b=5.8211 c=12.9374 alpha=90.00 beta=90.00 gamma=120.00
Space group P6_3mc (No. 186)
Unique sites:
Li: 0.3333 0.6667 0.0000 x2
Cr: 0.0000 0.0000 0.0945 x2
Cr: 0.0000 0.0000 0.3855 x2
Cr: 0.0011 0.5006 0.2400 x6
Cr: 0.3333 0.6667 0.4900 x2
O: 0.1524 0.3047 0.4899 x6
O: 0.1741 0.3482 0.8184 x6
O: 0.1747 0.3494 0.1609 x6
O: 0.3333 0.6667 0.3275 x2
O: 0.3333 0.6667 0.6527 x2

Calculated values
ΔH_f (0 K) = -3737 kJ/mol of formula units
total energy = -7.41 eV/atom

=====

[4]
This record from the Materials Project describes MnH6SO7 after structural relaxation. The functional is PBE+U.

Unit cell a=10.2106 b=10.2195 c=12.0862 alpha=90.00 beta=90.00 gamma=90.00
Space group Pbca (No. 61)
Unique sites:
Mn: 0.0887 0.1981 0.2257 x8
H: 0.0021 0.6052 0.0660 x8
H: 0.0253 0.5785 0.7767 x8
H: 0.1155 0.6943 0.1105 x8
H: 0.1393 0.6618 0.8281 x8
H: 0.2054 0.1519 0.0222 x8
H: 0.2271 0.1921 0.5306 x8
S: 0.1685 0.0004 0.8500 x8
O: 0.0194 0.6784 0.1152 x8
O: 0.0249 0.5263 0.3336 x8
O: 0.0422 0.6490 0.8315 x8
O: 0.1942 0.1398 0.8158 x8
O: 0.2073 0.5155 0.4674 x8
O: 0.2184 0.2268 0.0740 x8
O: 0.2452 0.5883 0.2778 x8

Calculated values
ΔH_f (0 K) = -2006 kJ/mol of formula units
total energy = -5.51 eV/atom

=====

[5]
This record from the Materials Project describes MgMo2HO6 after structural relaxation. The functional is PBE+U.

Unit cell a=3.8618 b=4.0881 c=8.0169 alpha=89.78 beta=77.98 gamma=89.98
Space group P1 (No. 1)
Unique sites:
Mg: 0.0000 0.0000 0.0000 x1
Mo: 0.6306 0.9889 0.6881 x1
Mo: 0.7683 0.4910 0.3770 x1
H: 0.6527 0.5005 0.0652 x1
O: 0.1196 0.9846 0.7140 x1
O: 0.2792 0.4840 0.3456 x1
O: 0.5196 0.9954 0.9454 x1
O: 0.6538 0.4875 0.6340 x1
O: 0.7482 0.9882 0.4218 x1
O: 0.8862 0.4968 0.0970 x1

Calculated values
ΔH_f (0 K) = -1928 kJ/mol of formula units
energy relative to the lowest polymorph listed for this composition = 0.029 eV/atom
total energy = -6.58 eV/atom

=====

[6]
This record from the Materials Project describes Li2VP3O10 after structural relaxation. The functional is PBE+U.

Unit cell a=14.3388 b=7.1799 c=9.7150 alpha=90.00 beta=126.97 gamma=90.00
Space group C2/c (No. 15)
Unique sites:
Li: 0.2298 0.0144 0.0373 x8
V: 0.0000 0.1659 0.2500 x4
P: 0.0000 0.4509 0.7500 x4
P: 0.1216 0.1811 0.6860 x8
O: 0.0066 0.3147 0.6264 x8
O: 0.0965 0.1266 0.5152 x8
O: 0.1060 0.4207 0.3467 x8
O: 0.1155 0.0096 0.7791 x8
O: 0.2322 0.2843 0.8110 x8

Calculated values
ΔH_f (0 K) = -4104 kJ/mol of formula units
energy relative to the lowest polymorph listed for this composition = 0.004 eV/atom
total energy = -7.04 eV/atom